Record 1
Material: Ho3Tm
Method: DFT, r2SCAN
State: optimized geometry

Lattice parameters (Å, degrees): 7.1990 7.1990 5.5356 90.00 90.00 120.00
Last column: nearest neighbours and their distance in Å.
Sites, in units of the cell vectors:
Ho 0.1669 0.3337 0.2500  4 Tm 3.46-3.60, 8 Ho 3.46-3.60
Ho 0.3337 0.1669 0.7500  4 Tm 3.46-3.60, 8 Ho 3.46-3.60
Ho 0.6663 0.8331 0.2500  4 Tm 3.46-3.60, 8 Ho 3.46-3.60
Ho 0.8331 0.6663 0.7500  4 Tm 3.46-3.60, 8 Ho 3.46-3.60
Ho 0.1669 0.8331 0.2500  4 Tm 3.46-3.60, 8 Ho 3.46-3.60
Ho 0.8331 0.1669 0.7500  4 Tm 3.46-3.60, 8 Ho 3.46-3.60
Tm 0.6667 0.3333 0.2500  12 Ho 3.46-3.60
Tm 0.3333 0.6667 0.7500  12 Ho 3.46-3.60

Results
**Calculated volume**: 31.1 Å³/atom
**Formation energy**: 0.01 eV/f.u.
**Space-group type**: P6_3/mmc
**Total moment**: 0.00 μB per cell
**ρ**: 8.872 Mg/m³

***

Record 2
Material: PrSF
Method: DFT, r2SCAN
State: optimized geometry

Lattice parameters (Å, degrees): 3.9813 3.9813 6.9619 90.00 90.00 90.00
Last column: nearest neighbours and their distance in Å.
Sites, in units of the cell vectors:
S 0.7500 0.7500 0.3507  5 Pr 2.93-2.94, 4 F 3.15
S 0.2500 0.2500 0.6493  5 Pr 2.93-2.94, 4 F 3.15
Pr 0.7500 0.7500 0.7715  4 F 2.55
Pr 0.2500 0.2500 0.2285  4 F 2.55
F 0.2500 0.7500 0.0000  4 Pr 2.55, 4 F 2.82
F 0.7500 0.2500 0.0000  4 Pr 2.55, 4 F 2.82

Results
**Calculated volume**: 18.4 Å³/atom
**Formation energy**: -10.03 eV/f.u.
**Space-group type**: P4/nmm
**Total moment**: 0.00 μB per cell
**ρ**: 5.778 Mg/m³

***

Record 3
Material: YbCe3
Method: DFT, r2SCAN
State: optimized geometry

Lattice parameters (Å, degrees): 4.9487 4.9487 4.9487 90.00 90.00 90.00
Last column: nearest neighbours and their distance in Å.
Sites, in units of the cell vectors:
Ce 0.5000 0.5000 0.0000  8 Ce 3.50, 4 Yb 3.50
Ce 0.0000 0.5000 0.5000  8 Ce 3.50, 4 Yb 3.50
Ce 0.5000 0.0000 0.5000  8 Ce 3.50, 4 Yb 3.50
Yb 0.0000 0.0000 0.0000  12 Ce 3.50

Results
**Calculated volume**: 30.3 Å³/atom
**Formation energy**: 0.44 eV/f.u.
**Space-group type**: Pm-3m
**Total moment**: 2.45 μB per cell
**ρ**: 8.131 Mg/m³

***

Record 4
Material: LiYb2Ga
Method: DFT, r2SCAN
State: optimized geometry

Lattice parameters (Å, degrees): 4.9661 4.9661 4.9661 60.00 60.00 60.00
Last column: nearest neighbours and their distance in Å.
Sites, in units of the cell vectors:
Yb 0.7500 0.7500 0.7500  4 Ga 3.04, 4 Li 3.04
Yb 0.2500 0.2500 0.2500  4 Ga 3.04, 4 Li 3.04
Ga 0.5000 0.5000 0.5000  8 Yb 3.04
Li 0.0000 0.0000 0.0000  8 Yb 3.04

Results
**Calculated volume**: 21.7 Å³/atom
**Formation energy**: -1.47 eV/f.u.
**Space-group type**: Fm-3m
**Total moment**: 0.00 μB per cell
**ρ**: 8.106 Mg/m³

***

Record 5
Material: LiYbNbO3
Method: DFT, r2SCAN
State: optimized geometry

Lattice parameters (Å, degrees): 4.2870 4.2870 4.2306 80.28 80.28 77.92
Last column: nearest neighbours and their distance in Å.
Sites, in units of the cell vectors:
Nb 0.4647 0.4647 0.4897  6 O 2.10-2.15
O 0.4777 0.4777 0.9896  1 Li 1.95, 2 Nb 2.10-2.14
O 0.9663 0.4621 0.4697  1 Li 1.88
O 0.4621 0.9663 0.4697  1 Li 1.88
Yb 0.1329 0.1329 0.1125  3 O 2.17-2.24
Li 0.7630 0.7630 0.7522  3 O 1.88-1.95

Results
**Calculated volume**: 12.4 Å³/atom
**Formation energy**: -13.12 eV/f.u.
**Polymorph energy (0 for the lowest one)**: 0 meV per atom
**Space-group type**: Cm
**Total moment**: 0.66 μB per cell
**ρ**: 7.180 Mg/m³

***

Record 6
Material: PrCdAu
Method: DFT, r2SCAN
State: optimized geometry

Lattice parameters (Å, degrees): 7.9659 7.9659 4.0110 90.00 90.00 120.00
Last column: nearest neighbours and their distance in Å.
Sites, in units of the cell vectors:
Au 0.6667 0.3333 0.5000  3 Cd 3.01, 6 Pr 3.14
Au 0.0000 0.0000 0.0000  6 Cd 2.86
Au 0.3333 0.6667 0.5000  3 Cd 3.01, 6 Pr 3.14
Cd 0.0000 0.2564 0.5000  4 Au 2.86-3.01
Cd 0.7436 0.7436 0.5000  4 Au 2.86-3.01
Cd 0.2564 0.0000 0.5000  4 Au 2.86-3.01
Pr 0.5945 0.0000 0.0000  5 Au 3.14-3.23, 6 Cd 3.36-3.47
Pr 0.4055 0.4055 0.0000  5 Au 3.14-3.23, 6 Cd 3.36-3.47
Pr 0.0000 0.5945 0.0000  5 Au 3.14-3.23, 6 Cd 3.36-3.47

Results
**Calculated volume**: 24.5 Å³/atom
**Formation energy**: -2.15 eV/f.u.
**Space-group type**: P-62m
**Total moment**: 0.00 μB per cell
**ρ**: 10.177 Mg/m³

***

Record 7
Material: Ca2Ge7O16
Method: DFT, r2SCAN
State: optimized geometry

Lattice parameters (Å, degrees): 11.3848 11.3848 4.6582 90.00 90.00 90.00
Last column: nearest neighbours and their distance in Å.
Sites, in units of the cell vectors:
O 0.8832 0.5011 0.2477  2 Ge 1.76-1.92
O 0.4726 0.7808 0.2762  2 Ge 1.76-1.87
O 0.3303 0.7346 0.7314  2 Ge 1.77-1.89
O 0.7654 0.1697 0.2686  2 Ge 1.77-1.89
O 0.0011 0.3832 0.7523  2 Ge 1.76-1.92
O 0.2346 0.8303 0.2686  2 Ge 1.77-1.89
O 0.0684 0.8600 0.8385  2 Ge 1.77-1.79
O 0.2808 0.9726 0.7238  2 Ge 1.76-1.87
O 0.9726 0.7192 0.2762  2 Ge 1.76-1.87
O 0.7808 0.5274 0.7238  2 Ge 1.76-1.87
O 0.8303 0.7654 0.7314  2 Ge 1.77-1.89
O 0.0274 0.2808 0.2762  2 Ge 1.76-1.87
O 0.2192 0.4726 0.7238  2 Ge 1.76-1.87
O 0.1400 0.0684 0.1615  2 Ge 1.77-1.79
O 0.6168 0.0011 0.2477  2 Ge 1.76-1.92
O 0.5684 0.6400 0.8385  2 Ge 1.77-1.79
O 0.5011 0.1168 0.7523  2 Ge 1.76-1.92
O 0.2654 0.3303 0.2686  2 Ge 1.77-1.89
O 0.1697 0.2346 0.7314  2 Ge 1.77-1.89
O 0.5274 0.2192 0.2762  2 Ge 1.76-1.87
O 0.6697 0.2654 0.7314  2 Ge 1.77-1.89
O 0.9989 0.6168 0.7523  2 Ge 1.76-1.92
O 0.3600 0.5684 0.1615  2 Ge 1.77-1.79
O 0.9316 0.1400 0.8385  2 Ge 1.77-1.79
O 0.1168 0.4989 0.2477  2 Ge 1.76-1.92
O 0.4316 0.3600 0.8385  2 Ge 1.77-1.79
O 0.7192 0.0274 0.7238  2 Ge 1.76-1.87
O 0.6400 0.4316 0.1615  2 Ge 1.77-1.79
O 0.4989 0.8832 0.7523  2 Ge 1.76-1.92
O 0.7346 0.6697 0.2686  2 Ge 1.77-1.89
O 0.8600 0.9316 0.1615  2 Ge 1.77-1.79
O 0.3832 0.9989 0.2477  2 Ge 1.76-1.92
Ca 0.3350 0.1650 0.5000  6 O 2.29-2.50
Ca 0.8350 0.3350 0.5000  6 O 2.29-2.50
Ca 0.6650 0.8350 0.5000  6 O 2.29-2.50
Ca 0.1650 0.6650 0.5000  6 O 2.29-2.50
Ge 0.5660 0.3121 0.9900  4 O 1.76-1.79
Ge 0.6335 0.1335 0.5000  6 O 1.87-1.92
Ge 0.1879 0.9340 0.0100  4 O 1.76-1.79
Ge 0.6879 0.5660 0.0100  4 O 1.76-1.79
Ge 0.0660 0.1879 0.9900  4 O 1.76-1.79
Ge 0.4340 0.6879 0.9900  4 O 1.76-1.79
Ge 0.8665 0.6335 0.5000  6 O 1.87-1.92
Ge 0.3121 0.4340 0.0100  4 O 1.76-1.79
Ge 0.0000 0.5000 0.0000  4 O 1.76
Ge 0.5000 0.0000 0.0000  4 O 1.76
Ge 0.3665 0.8665 0.5000  6 O 1.87-1.92
Ge 0.1335 0.3665 0.5000  6 O 1.87-1.92
Ge 0.9340 0.8121 0.9900  4 O 1.76-1.79
Ge 0.8121 0.0660 0.0100  4 O 1.76-1.79

Results
**Calculated volume**: 12.1 Å³/atom
**Formation energy**: -53.14 eV/f.u.
**Space-group type**: P-4b2
**Total moment**: 0.00 μB per cell
**ρ**: 4.646 Mg/m³

***

Record 8
Material: NdCrO3
Method: DFT, r2SCAN
State: optimized geometry

Lattice parameters (Å, degrees): 5.4210 5.5342 7.7147 90.00 90.00 90.00
Last column: nearest neighbours and their distance in Å.
Sites, in units of the cell vectors:
Cr 0.5000 0.0000 0.5000  6 O 1.98-2.00
Cr 0.0000 0.5000 0.0000  6 O 1.98-2.00
Cr 0.0000 0.5000 0.5000  6 O 1.98-2.00
Cr 0.5000 0.0000 0.0000  6 O 1.98-2.00
O 0.7917 0.7909 0.4556  2 Cr 1.99-2.00
O 0.7083 0.2909 0.0444  2 Cr 1.99-2.00
O 0.2917 0.7091 0.9556  2 Cr 1.99-2.00
O 0.5833 0.0200 0.7500  2 Cr 1.98
O 0.2917 0.7091 0.5444  2 Cr 1.99-2.00
O 0.7917 0.7909 0.0444  2 Cr 1.99-2.00
O 0.9167 0.5200 0.7500  2 Cr 1.98
O 0.0833 0.4800 0.2500  2 Cr 1.98
O 0.7083 0.2909 0.4556  2 Cr 1.99-2.00
O 0.4167 0.9800 0.2500  2 Cr 1.98
O 0.2083 0.2091 0.9556  2 Cr 1.99-2.00
O 0.2083 0.2091 0.5444  2 Cr 1.99-2.00
Nd 0.0112 0.9515 0.7500  6 O 2.35-2.57
Nd 0.9888 0.0485 0.2500  6 O 2.35-2.57
Nd 0.5112 0.5485 0.2500  6 O 2.35-2.57
Nd 0.4888 0.4515 0.7500  6 O 2.35-2.57

Results
**Calculated volume**: 11.6 Å³/atom
**Formation energy**: -15.76 eV/f.u.
**Space-group type**: Pnma
**Total moment**: 12.00 μB per cell
**ρ**: 7.009 Mg/m³

***

Record 9
Material: Ho5Tl3
Method: DFT, r2SCAN
State: optimized geometry

Lattice parameters (Å, degrees): 8.9176 8.9175 6.5991 90.00 90.00 120.00
Last column: nearest neighbours and their distance in Å.
Sites, in units of the cell vectors:
Ho 0.2365 0.0000 0.2500  3 Tl 3.12-3.22
Ho 0.0000 0.7635 0.7500  3 Tl 3.12-3.22
Ho 0.3333 0.6667 0.5000  6 Tl 3.18, 2 Ho 3.30
Ho 0.3333 0.6667 0.0000  6 Tl 3.18, 2 Ho 3.30
Ho 0.6667 0.3333 0.0000  6 Tl 3.18, 2 Ho 3.30
Ho 0.7635 0.0000 0.7500  3 Tl 3.12-3.22
Ho 0.2365 0.2365 0.7500  3 Tl 3.12-3.22
Ho 0.0000 0.2365 0.2500  3 Tl 3.12-3.22
Ho 0.6667 0.3333 0.5000  6 Tl 3.18, 2 Ho 3.30
Ho 0.7635 0.7635 0.2500  3 Tl 3.12-3.22
Tl 0.5977 0.5977 0.7500  7 Ho 3.12-3.22
Tl 0.4023 0.4023 0.2500  7 Ho 3.12-3.22
Tl 0.4023 0.0000 0.7500  7 Ho 3.12-3.22
Tl 0.5977 0.0000 0.2500  7 Ho 3.12-3.22
Tl 0.0000 0.4023 0.7500  7 Ho 3.12-3.22
Tl 0.0000 0.5977 0.2500  7 Ho 3.12-3.22

Results
**Calculated volume**: 28.4 Å³/atom
**Formation energy**: -3.49 eV/f.u.
**Space-group type**: P6_3/mcm
**Total moment**: 0.00 μB per cell
**ρ**: 10.507 Mg/m³

***

Record 10
Material: NaSn2As2
Method: DFT, r2SCAN
State: optimized geometry

Lattice parameters (Å, degrees): 9.5386 9.5386 9.5386 24.37 24.37 24.37
Last column: nearest neighbours and their distance in Å.
Sites, in units of the cell vectors:
Sn 0.7888 0.7888 0.7888  3 As 2.69
Sn 0.2112 0.2112 0.2112  3 As 2.69
As 0.4067 0.4067 0.4067  3 Sn 2.69
As 0.5933 0.5933 0.5933  3 Sn 2.69
Na 0.0000 0.0000 0.0000  6 As 3.09

Results
**Calculated volume**: 26.0 Å³/atom
**Formation energy**: -1.58 eV/f.u.
**Space-group type**: R-3m
**Total moment**: 0.00 μB per cell
**ρ**: 5.245 Mg/m³

***

Record 11
Material: Mg7Cd
Method: DFT, r2SCAN
State: optimized geometry

Lattice parameters (Å, degrees): 6.3293 6.3293 5.0222 90.00 90.00 120.00
Last column: nearest neighbours and their distance in Å.
Sites, in units of the cell vectors:
Mg 0.6667 0.3333 0.0000  12 Mg 3.10-3.16
Mg 0.1664 0.3327 0.0000  2 Cd 3.10, 10 Mg 3.11-3.17
Mg 0.5002 0.4998 0.5000  10 Mg 3.10-3.17, 2 Cd 3.16
Mg 0.5002 0.0003 0.5000  10 Mg 3.10-3.17, 2 Cd 3.16
Mg 0.9997 0.4998 0.5000  10 Mg 3.10-3.17, 2 Cd 3.16
Mg 0.6673 0.8336 0.0000  2 Cd 3.10, 10 Mg 3.11-3.17
Mg 0.1664 0.8336 0.0000  2 Cd 3.10, 10 Mg 3.11-3.17
Cd 0.0000 0.0000 0.5000  12 Mg 3.10-3.16

Results
**Calculated volume**: 21.8 Å³/atom
**Formation energy**: -0.22 eV/f.u.
**Space-group type**: P-6m2
**Total moment**: 0.00 μB per cell
**ρ**: 2.693 Mg/m³

***

Record 12
Material: ScHO2
Method: DFT, r2SCAN
State: optimized geometry

Lattice parameters (Å, degrees): 6.6559 6.6559 4.0363 90.00 90.00 28.33
Last column: nearest neighbours and their distance in Å.
Sites, in units of the cell vectors:
H 0.9839 0.9839 0.9330  1 O 0.99
H 0.0161 0.0161 0.4330  1 O 0.99
O 0.9307 0.9307 0.7552  1 H 0.99
O 0.0693 0.0693 0.2552  1 H 0.99
O 0.7149 0.7149 0.7509  4 Sc 2.08-2.16
O 0.2851 0.2851 0.2509  4 Sc 2.08-2.16
Sc 0.6756 0.6756 0.2503  6 O 2.08-2.16
Sc 0.3244 0.3244 0.7503  6 O 2.08-2.16

Results
**Calculated volume**: 10.6 Å³/atom
**Formation energy**: -11.24 eV/f.u.
**Space-group type**: Cmc2_1
**Total moment**: 0.00 μB per cell
**ρ**: 3.052 Mg/m³